Record 1
PBE Gd3Si2Cl5O6, optimized geometry; symmetry = C2/m
1.0
5.277 5.361 0.000
-5.277 5.361 0.000
0.000 2.685 11.567
Si O Cl Gd
4 12 10 6
Direct
0.819 0.110 0.143
0.110 0.819 0.143
0.890 0.181 0.857
0.181 0.890 0.857
0.855 0.145 0.000
0.610 0.043 0.172
0.130 0.695 0.828
0.047 0.047 0.809
0.390 0.957 0.828
0.145 0.855 0.000
0.305 0.870 0.172
0.043 0.610 0.172
0.957 0.390 0.828
0.695 0.130 0.828
0.953 0.953 0.191
0.870 0.305 0.172
0.223 0.223 0.337
0.684 0.684 0.004
0.379 0.379 0.644
0.777 0.777 0.663
0.885 0.326 0.579
0.316 0.316 0.996
0.326 0.885 0.579
0.674 0.115 0.421
0.115 0.674 0.421
0.621 0.621 0.356
0.919 0.416 0.331
0.081 0.584 0.669
0.500 0.000 0.000
0.000 0.500 0.000
0.416 0.919 0.331
0.584 0.081 0.669

=====

Record 2
PBE GdTe2ClO5, optimized geometry; symmetry = P4/mmm
1.0
3.942 0.000 0.000
0.000 3.942 0.000
0.000 0.000 8.545
Gd O Cl Te
1 5 1 2
Direct
0.000 0.000 0.000
0.000 0.500 0.819
0.500 0.500 0.000
0.000 0.500 0.181
0.500 0.000 0.181
0.500 0.000 0.819
0.000 0.000 0.500
0.500 0.500 0.742
0.500 0.500 0.258

=====

| no. | total DFT energy (no corrections) (eV per formula unit) | spin magnetization (μB per formula unit) | energy of formation from the pure elements (eV per atom) |
| --- | --- | --- | --- |
| 1 | -136.3 | 21.00 | -3.02 |
| 2 | -61.5 | 6.98 | -2.00 |